First-principles (GGA+U) data for a relaxed structure of Mn2PO5, as listed in the Materials Project database.

```
32
Lattice="4.529 -2.182 -5.517 6.659 2.885 -1.744 8.011 -5.179 2.433" Properties=species:S:1:pos:R:3 pbc="T T T"
Mn 8.213 -0.959 -4.624
Mn 9.497 -0.920 -1.256
Mn 6.734 1.502 -2.950
Mn 12.680 -2.451 -2.591
Mn 6.519 -2.025 -2.237
Mn 12.465 -5.978 -1.877
Mn 9.702 -3.555 -3.571
Mn 10.986 -3.516 -0.203
P 15.819 -3.177 -3.643
P 7.755 -3.010 0.685
P 11.444 -1.466 -5.513
P 3.380 -1.298 -1.185
O 15.412 -2.579 -5.001
O 3.071 0.217 -1.060
O 8.759 0.832 -3.387
O 9.147 -2.659 0.079
O 14.662 -2.968 -2.619
O 8.315 -2.143 -2.955
O 6.466 -0.723 -3.818
O 7.878 -4.283 1.541
O 6.727 -3.203 -0.462
O 7.402 -0.416 -0.944
O 11.797 -4.059 -3.884
O 12.472 -1.273 -4.366
O 11.322 -0.193 -6.369
O 12.733 -3.752 -1.009
O 10.884 -2.333 -1.872
O 4.537 -1.508 -2.208
O 10.052 -1.817 -4.907
O 10.440 -5.308 -1.441
O 16.128 -4.693 -3.768
O 3.787 -1.897 0.174
```

## Properties
Its offset from the most stable computed form is 8 meV/atom. The calculated density comes out at 3.917 g/cm³. The calculation puts the calculated volume at 94 Å³/f.u. The calculated formation energy comes out at -2.41 eV per atom.